# 1
First-principles (PBE) data for a geometry-optimized LaCeMo12S16 structure, as listed in the Materials Project database.

Cell lengths 6.5190, 6.5237, 13.0645 Å; angles 88.80, 88.83, 88.87 degrees
With the nearest neighbours (Å) after each atom.
Fractional coordinates of all 30 atoms:
1 La 0.0000 0.0000 0.0000  8 S 2.82-3.04
2 Ce 0.0000 0.0000 0.5000  8 S 2.78-3.01
3 Mo 0.2256 0.4189 0.7808  5 S 2.41-2.58, 2 Mo 2.68-2.69
4 Mo 0.2259 0.4202 0.2821  5 S 2.40-2.60, 2 Mo 2.68
5 Mo 0.4190 0.5631 0.6115  5 S 2.41-2.58, 2 Mo 2.69
6 Mo 0.4195 0.5640 0.1132  5 S 2.40-2.60, 2 Mo 2.68
7 Mo 0.4366 0.7736 0.7897  5 S 2.40-2.59, 2 Mo 2.68
8 Mo 0.4370 0.7750 0.2907  5 S 2.42-2.60, 2 Mo 2.68-2.69
9 Mo 0.5630 0.2250 0.7093  5 S 2.42-2.60, 2 Mo 2.68-2.69
10 Mo 0.5634 0.2264 0.2103  5 S 2.40-2.59, 2 Mo 2.68
11 Mo 0.5805 0.4360 0.8868  5 S 2.40-2.60, 2 Mo 2.68
12 Mo 0.5810 0.4369 0.3885  5 S 2.41-2.58, 2 Mo 2.69
13 Mo 0.7741 0.5798 0.7179  5 S 2.40-2.60, 2 Mo 2.68
14 Mo 0.7744 0.5811 0.2192  5 S 2.41-2.58, 2 Mo 2.68-2.69
15 S 0.1261 0.7523 0.6862  4 Mo 2.45-2.60
16 S 0.1265 0.7494 0.1881  4 Mo 2.44-2.58
17 S 0.2414 0.2423 0.6204  3 Mo 2.41-2.42
18 S 0.2440 0.2446 0.1222  3 Mo 2.40
19 S 0.2482 0.6271 0.4373  4 Mo 2.45-2.58
20 S 0.2503 0.6235 0.9366  4 Mo 2.45-2.60
21 S 0.3733 0.1265 0.3769  4 Mo 2.45-2.60
22 S 0.3763 0.1258 0.8745  4 Mo 2.45-2.59
23 S 0.6237 0.8742 0.1255  4 Mo 2.45-2.59
24 S 0.6267 0.8735 0.6231  4 Mo 2.45-2.60
25 S 0.7497 0.3765 0.0634  4 Mo 2.45-2.60
26 S 0.7518 0.3729 0.5627  4 Mo 2.45-2.58
27 S 0.7560 0.7554 0.8778  3 Mo 2.40
28 S 0.7586 0.7577 0.3796  3 Mo 2.41-2.42
29 S 0.8735 0.2506 0.8119  4 Mo 2.44-2.58
30 S 0.8739 0.2477 0.3138  4 Mo 2.45-2.60

Properties
The formation energy comes out at -1.202 eV/atom. The calculation puts the total energy at -7.84 eV/atom.

***

# 2
First-principles (PBE) data for a geometry-optimized Er2Ni15B9 structure, as listed in the Materials Project database.

Cell lengths 9.7989, 9.7989, 11.2233 Å; angles 90.00, 90.00, 72.22 degrees
With the nearest neighbours (Å) after each atom.
Fractional coordinates of all 104 atoms:
1 Er 0.1907 0.3093 0.2500  6 B 2.76-2.93, 10 Ni 2.77-3.09
2 Er 0.2404 0.7596 0.9580  13 Ni 2.70-2.97
3 Er 0.2596 0.7404 0.4580  13 Ni 2.70-2.97
4 Er 0.3093 0.1907 0.7500  6 B 2.76-2.93, 10 Ni 2.77-3.09
5 Er 0.6907 0.8093 0.2500  6 B 2.76-2.93, 10 Ni 2.77-3.09
6 Er 0.7404 0.2596 0.5420  13 Ni 2.70-2.97
7 Er 0.7596 0.2404 0.0420  13 Ni 2.70-2.97
8 Er 0.8093 0.6907 0.7500  6 B 2.76-2.93, 10 Ni 2.77-3.09
9 Ni 0.0000 0.0000 0.0000  6 B 2.33-2.49, 4 Ni 2.61
10 Ni 0.0000 0.0000 0.5000  4 B 2.01-2.14
11 Ni 0.0042 0.2277 0.8820  5 B 2.07-2.15
12 Ni 0.0111 0.1823 0.6602  4 B 2.14-2.23
13 Ni 0.0108 0.8307 0.8067  4 B 1.98-2.13
14 Ni 0.0298 0.7560 0.5968  4 B 1.97-2.15
15 Ni 0.0538 0.6069 0.9154  4 B 2.02-2.15
16 Ni 0.0693 0.4307 0.7500  4 B 2.02-2.07
17 Ni 0.1069 0.5538 0.4154  4 B 2.02-2.15
18 Ni 0.1367 0.3376 0.5300  3 B 2.01-2.14
19 Ni 0.1624 0.3633 0.9700  3 B 2.01-2.14
20 Ni 0.1693 0.9892 0.8067  4 B 1.98-2.13
21 Ni 0.1823 0.0111 0.3398  4 B 2.14-2.23
22 Ni 0.2277 0.0042 0.1180  5 B 2.07-2.15
23 Ni 0.2338 0.7662 0.2121  3 B 2.05-2.08
24 Ni 0.2440 0.9702 0.5968  4 B 1.97-2.15
25 Ni 0.2560 0.5298 0.0968  4 B 1.97-2.15
26 Ni 0.2662 0.7338 0.7121  3 B 2.05-2.08
27 Ni 0.2723 0.4958 0.6180  5 B 2.07-2.15
28 Ni 0.3177 0.4889 0.8398  4 B 2.14-2.23
29 Ni 0.3307 0.5108 0.3067  4 B 1.98-2.13
30 Ni 0.3376 0.1367 0.4700  3 B 2.01-2.14
31 Ni 0.3633 0.1624 0.0300  3 B 2.01-2.14
32 Ni 0.3931 0.9462 0.9154  4 B 2.02-2.15
33 Ni 0.4307 0.0693 0.2500  4 B 2.02-2.07
34 Ni 0.4462 0.8931 0.4154  4 B 2.02-2.15
35 Ni 0.4702 0.7440 0.0968  4 B 1.97-2.15
36 Ni 0.4889 0.3177 0.1602  4 B 2.14-2.23
37 Ni 0.4892 0.6693 0.3067  4 B 1.98-2.13
38 Ni 0.4958 0.2723 0.3820  5 B 2.07-2.15
39 Ni 0.5000 0.5000 0.0000  4 B 2.01-2.14
40 Ni 0.5000 0.5000 0.5000  6 B 2.33-2.49, 4 Ni 2.61
41 Ni 0.5042 0.7277 0.6180  5 B 2.07-2.15
42 Ni 0.5108 0.3307 0.6933  4 B 1.98-2.13
43 Ni 0.5111 0.6823 0.8398  4 B 2.14-2.23
44 Ni 0.5298 0.2560 0.9032  4 B 1.97-2.15
45 Ni 0.5538 0.1069 0.5846  4 B 2.02-2.15
46 Ni 0.5693 0.9307 0.7500  4 B 2.02-2.07
47 Ni 0.6069 0.0538 0.0846  4 B 2.02-2.15
48 Ni 0.6367 0.8376 0.9700  3 B 2.01-2.14
49 Ni 0.6624 0.8633 0.5300  3 B 2.01-2.14
50 Ni 0.6693 0.4892 0.6933  4 B 1.98-2.13
51 Ni 0.6823 0.5111 0.1602  4 B 2.14-2.23
52 Ni 0.7277 0.5042 0.3820  5 B 2.07-2.15
53 Ni 0.7338 0.2662 0.2879  3 B 2.05-2.08
54 Ni 0.7440 0.4702 0.9032  4 B 1.97-2.15
55 Ni 0.7560 0.0298 0.4032  4 B 1.97-2.15
56 Ni 0.7662 0.2338 0.7879  3 B 2.05-2.08
57 Ni 0.7723 0.9958 0.8820  5 B 2.07-2.15
58 Ni 0.8177 0.9889 0.6602  4 B 2.14-2.23
59 Ni 0.8307 0.0108 0.1933  4 B 1.98-2.13
60 Ni 0.8376 0.6367 0.0300  3 B 2.01-2.14
61 Ni 0.8633 0.6624 0.4700  3 B 2.01-2.14
62 Ni 0.8931 0.4462 0.5846  4 B 2.02-2.15
63 Ni 0.9307 0.5693 0.2500  4 B 2.02-2.07
64 Ni 0.9462 0.3931 0.0846  4 B 2.02-2.15
65 Ni 0.9702 0.2440 0.4032  4 B 1.97-2.15
66 Ni 0.9892 0.1693 0.1933  4 B 1.98-2.13
67 Ni 0.9889 0.8177 0.3398  4 B 2.14-2.23
68 Ni 0.9958 0.7723 0.1180  5 B 2.07-2.15
69 B 0.0481 0.9519 0.6720  1 B 1.88, 3 Ni 2.01-2.02
70 B 0.0490 0.5497 0.1002  6 Ni 1.98-2.15, 1 B 1.98
71 B 0.0497 0.5490 0.6002  6 Ni 1.98-2.15, 1 B 1.98
72 B 0.0567 0.9433 0.1995  1 B 1.88, 1 Ni 2.05
73 B 0.0934 0.2021 0.0508  1 B 1.70
74 B 0.1201 0.6217 0.2448  1 B 1.98, 6 Ni 2.04-2.15
75 B 0.1217 0.6201 0.7448  1 B 1.98, 6 Ni 2.04-2.15
76 B 0.1353 0.1353 0.5000  7 Ni 1.97-2.14
77 B 0.2021 0.0934 0.9492  1 B 1.70
78 B 0.2979 0.4066 0.4492  1 B 1.70
79 B 0.3647 0.3647 0.0000  7 Ni 1.97-2.14
80 B 0.3783 0.8799 0.2448  1 B 1.98, 6 Ni 2.04-2.15
81 B 0.3799 0.8783 0.7448  1 B 1.98, 6 Ni 2.04-2.15
82 B 0.4066 0.2979 0.5508  1 B 1.70
83 B 0.4433 0.5567 0.6995  1 B 1.88, 1 Ni 2.05
84 B 0.4503 0.9510 0.1002  6 Ni 1.98-2.15, 1 B 1.98
85 B 0.4510 0.9503 0.6002  6 Ni 1.98-2.15, 1 B 1.98
86 B 0.4519 0.5481 0.1720  1 B 1.88, 3 Ni 2.01-2.02
87 B 0.5481 0.4519 0.8280  1 B 1.88, 3 Ni 2.01-2.02
88 B 0.5490 0.0497 0.3998  6 Ni 1.98-2.15, 1 B 1.98
89 B 0.5497 0.0490 0.8998  6 Ni 1.98-2.15, 1 B 1.98
90 B 0.5567 0.4433 0.3005  1 B 1.88, 1 Ni 2.05
91 B 0.5934 0.7021 0.4492  1 B 1.70
92 B 0.6201 0.1217 0.2552  1 B 1.98, 6 Ni 2.04-2.15
93 B 0.6217 0.1201 0.7552  1 B 1.98, 6 Ni 2.04-2.15
94 B 0.6353 0.6353 0.0000  7 Ni 1.97-2.14
95 B 0.7021 0.5934 0.5508  1 B 1.70
96 B 0.7979 0.9066 0.0508  1 B 1.70
97 B 0.8647 0.8647 0.5000  7 Ni 1.97-2.14
98 B 0.8783 0.3799 0.2552  1 B 1.98, 6 Ni 2.04-2.15
99 B 0.8799 0.3783 0.7552  1 B 1.98, 6 Ni 2.04-2.15
100 B 0.9066 0.7979 0.9492  1 B 1.70
101 B 0.9433 0.0567 0.8005  1 B 1.88, 1 Ni 2.05
102 B 0.9503 0.4510 0.3998  6 Ni 1.98-2.15, 1 B 1.98
103 B 0.9510 0.4503 0.8998  6 Ni 1.98-2.15, 1 B 1.98
104 B 0.9519 0.0481 0.3280  1 B 1.88, 3 Ni 2.01-2.02

Properties
The formation energy comes out at -0.421 eV/atom. The calculation puts the total energy at -6.42 eV/atom.

***

# 3
First-principles (PBE) data for a geometry-optimized LaGaAu2 structure, as listed in the Materials Project database.

Cell lengths 5.0497, 5.0497, 5.0497 Å; angles 60.00, 60.00, 60.00 degrees
With the nearest neighbours (Å) after each atom.
Fractional coordinates of all 4 atoms:
1 La 0.0000 0.0000 0.0000  8 Au 3.09
2 Ga 0.5000 0.5000 0.5000  8 Au 3.09
3 Au 0.2500 0.2500 0.2500  4 La 3.09, 4 Ga 3.09
4 Au 0.7500 0.7500 0.7500  4 La 3.09, 4 Ga 3.09

Properties
The formation energy comes out at -0.635 eV/atom. The calculation puts the total energy at -4.26 eV/atom.

***

# 4
First-principles (PBE) data for a geometry-optimized Y7Te2Au2 structure, as listed in the Materials Project database.

Cell lengths 9.4829, 9.4829, 9.4829 Å; angles 155.20, 68.18, 117.65 degrees
With the nearest neighbours (Å) after each atom.
Fractional coordinates of all 11 atoms:
1 Y 0.0000 0.0000 0.0000  3 Te 3.26-3.34
2 Y 0.0627 0.3791 0.6836  3 Au 2.94-3.21, 1 Te 3.19
3 Y 0.1014 0.7415 0.3599  2 Au 3.01, 2 Te 3.15
4 Y 0.3816 0.7415 0.6401  2 Au 3.01, 2 Te 3.15
5 Y 0.4626 0.5880 0.8746  2 Au 2.97, 3 Te 3.13-3.21
6 Y 0.6955 0.3791 0.3164  3 Au 2.94-3.21, 1 Te 3.19
7 Y 0.7134 0.5880 0.1254  2 Au 2.97, 3 Te 3.13-3.21
8 Te 0.3399 0.3399 0.0000  7 Y 3.13-3.34
9 Te 0.7411 0.2411 0.5000  8 Y 3.19-3.26
10 Au 0.3143 0.0774 0.2369  7 Y 2.94-3.21
11 Au 0.8406 0.0774 0.7631  7 Y 2.94-3.21

Properties
The formation energy comes out at -0.850 eV/atom. The calculation puts the total energy at -6.13 eV/atom.

***

# 5
First-principles (PBE) data for a geometry-optimized Rb2U3Te2O14 structure, as listed in the Materials Project database.

Cell lengths 7.0391, 7.3713, 8.3926 Å; angles 108.19, 101.14, 98.33 degrees
With the nearest neighbours (Å) after each atom.
Fractional coordinates of all 21 atoms:
1 Rb 0.2027 0.3848 0.3351  6 O 2.90-3.08
2 Rb 0.7973 0.6152 0.6649  6 O 2.90-3.08
3 U 0.1015 0.1712 0.7345  2 O 1.84-1.86
4 U 0.5000 0.0000 0.5000  2 O 1.85
5 U 0.8985 0.8288 0.2655  2 O 1.84-1.86
6 Te 0.3423 0.6756 0.0195  3 O 1.89-1.91
7 Te 0.6577 0.3244 0.9805  3 O 1.89-1.91
8 O 0.1063 0.3908 0.6689  1 U 1.86
9 O 0.1180 0.9689 0.8170  1 U 1.84
10 O 0.1365 0.7414 0.1272  1 Te 1.89
11 O 0.1802 0.0057 0.4748  3 U 2.23-2.36
12 O 0.3065 0.4117 0.0129  1 Te 1.91
13 O 0.4647 0.2074 0.7622  1 Te 1.91
14 O 0.4663 0.7863 0.5713  1 U 1.85
15 O 0.5337 0.2137 0.4287  1 U 1.85
16 O 0.5353 0.7926 0.2378  1 Te 1.91
17 O 0.6935 0.5883 0.9871  1 Te 1.91
18 O 0.8198 0.9943 0.5252  3 U 2.23-2.36
19 O 0.8635 0.2586 0.8728  1 Te 1.89
20 O 0.8820 0.0311 0.1830  1 U 1.84
21 O 0.8937 0.6092 0.3311  1 U 1.86

Properties
The formation energy comes out at -2.873 eV/atom. The calculation puts the total energy at -7.72 eV/atom.

***

# 6
First-principles (PBE) data for a geometry-optimized Ba2TmMgCu3O7 structure, as listed in the Materials Project database.

Cell lengths 3.5697, 10.9059, 5.5570 Å; angles 90.00, 91.54, 90.00 degrees
With the nearest neighbours (Å) after each atom.
Fractional coordinates of all 14 atoms:
1 Ba 0.0000 0.1754 0.0000  5 O 2.60-2.83
2 Ba 0.0000 0.8246 0.0000  5 O 2.60-2.83
3 Tm 0.0166 0.5000 0.3958  6 O 2.17-2.42
4 Mg 0.4303 0.5000 0.9125  4 O 2.04-2.15
5 Cu 0.4626 0.2728 0.4913  2 O 1.82-1.93
6 Cu 0.4626 0.7272 0.4913  2 O 1.82-1.93
7 Cu 0.5082 0.0000 0.4613  3 O 1.84-1.87
8 O 0.1226 0.3811 0.7032  1 Mg 2.04, 1 Cu 2.08, 1 Tm 2.17
9 O 0.1226 0.6189 0.7032  1 Mg 2.04, 1 Cu 2.08, 1 Tm 2.17
10 O 0.4866 0.1336 0.6704  2 Cu 1.82-1.87
11 O 0.4866 0.8664 0.6704  2 Cu 1.82-1.87
12 O 0.4986 0.3832 0.2220  1 Cu 1.93, 1 Mg 2.15
13 O 0.4986 0.6168 0.2220  1 Cu 1.93, 1 Mg 2.15
14 O 0.5036 0.0000 0.1305  1 Cu 1.84

Properties
Its excess energy over the best structure of this formula in the dataset is 0.00 eV per formula unit. The formation energy comes out at -2.140 eV/atom. The calculation puts the total energy at -5.86 eV/atom.

***

Question: Number 2 is which compound?
Answer: Er2Ni15B9

***

Question: Which formula does entry 4 have?
Answer: Y7Te2Au2